Compound: Mn4SiTeCl2O7
Source: the Materials Project
Functional: PBE+U
Structure: relaxed

The calculated volume comes out at 15.517 Å³/atom. The value obtained for the raw total energy is -206.303 eV for the cell shown. For the density, the calculation gives 3.98 g/cm3. As for the total magnetic moment: 0.00 μB/cell.

a b c (Å): 5.5416 6.5229 12.9061
angles (deg): 90.07 93.80 90.13
Fractional positions:
1 Mn 0.6409 0.0043 0.3596
2 Mn 0.8552 0.2486 0.6670
3 Mn 0.0171 0.7498 0.8316
4 Mn 0.1448 0.7514 0.3330
5 Mn 0.3589 0.5062 0.6410
6 Mn 0.6411 0.4938 0.3590
7 Mn 0.9829 0.2502 0.1684
8 Mn 0.3591 0.9957 0.6404
9 Cl 0.8579 0.2502 0.9847
10 Cl 0.4262 0.2501 0.1778
11 Cl 0.5738 0.7499 0.8222
12 Cl 0.1421 0.7499 0.0153
13 O 0.1619 0.2506 0.5677
14 O 0.5147 0.2506 0.7436
15 O 0.8938 0.9550 0.2205
16 O 0.8742 0.2495 0.3873
17 O 0.8943 0.5453 0.2212
18 O 0.1258 0.7505 0.6127
19 O 0.4853 0.7494 0.2564
20 O 0.7092 0.5368 0.5961
21 O 0.2911 0.0378 0.4043
22 O 0.1062 0.0449 0.7795
23 O 0.7089 0.9622 0.5957
24 O 0.2908 0.4632 0.4039
25 O 0.8380 0.7494 0.4323
26 O 0.1057 0.4547 0.7788
27 Si 0.8446 0.7495 0.5620
28 Si 0.1554 0.2505 0.4380
29 Te 0.2954 0.2508 0.8541
30 Te 0.7046 0.7492 0.1459

Compound: MoN2Cl5O
Source: the Materials Project
Functional: PBE+U
Structure: relaxed

The calculated volume comes out at 28.545 Å³/atom. The value obtained for the raw total energy is -127.499 eV for the cell shown. For the density, the calculation gives 2.05 g/cm3. As for the total magnetic moment: 20.00 μB/cell.

a b c (Å): 6.8509 10.0245 14.9634
angles (deg): 90.00 90.00 90.00
Fractional positions:
1 Cl 0.3121 0.0209 0.3983
2 Cl 0.6469 0.7500 0.2422
3 Cl 0.5357 0.2500 0.2829
4 Cl 0.9643 0.2500 0.7829
5 Cl 0.6879 0.5209 0.6017
6 Cl 0.1879 0.0209 0.8983
7 Cl 0.6879 0.9791 0.6017
8 Cl 0.4643 0.7500 0.7171
9 Cl 0.8531 0.7500 0.7422
10 Cl 0.3121 0.4791 0.3983
11 Cl 0.8121 0.9791 0.1017
12 Cl 0.3531 0.2500 0.7578
13 Cl 0.5391 0.7500 0.0059
14 Cl 0.1469 0.2500 0.2578
15 Cl 0.4609 0.2500 0.9941
16 Cl 0.8121 0.5209 0.1017
17 Cl 0.0357 0.7500 0.2171
18 Cl 0.9609 0.7500 0.5059
19 Cl 0.0391 0.2500 0.4941
20 Cl 0.1879 0.4791 0.8983
21 N 0.8317 0.0288 0.3391
22 N 0.6683 0.0288 0.8391
23 N 0.6683 0.4712 0.8391
24 N 0.3317 0.5288 0.1609
25 N 0.8317 0.4712 0.3391
26 N 0.1683 0.9712 0.6609
27 N 0.1683 0.5288 0.6609
28 N 0.3317 0.9712 0.1609
29 Mo 0.8258 0.7500 0.0831
30 Mo 0.6742 0.7500 0.5831
31 Mo 0.3258 0.2500 0.4169
32 Mo 0.1742 0.2500 0.9169
33 O 0.9952 0.2500 0.9956
34 O 0.0048 0.7500 0.0044
35 O 0.5048 0.2500 0.4956
36 O 0.4952 0.7500 0.5044

Compound: Mo6N2Cl14O
Source: the Materials Project
Functional: PBE+U
Structure: relaxed

The calculated volume comes out at 28.860 Å³/atom. The value obtained for the raw total energy is -164.269 eV for the cell shown. For the density, the calculation gives 2.79 g/cm3. As for the total magnetic moment: 0.65 μB/cell.

a b c (Å): 12.6581 12.6581 9.2955
angles (deg): 71.63 71.63 76.79
Fractional positions:
1 Cl 0.1244 0.1276 0.1242
2 Cl 0.9828 0.3464 0.8374
3 Cl 0.1390 0.6923 0.4350
4 Cl 0.3933 0.2436 0.0283
5 Cl 0.6536 0.0172 0.6626
6 Cl 0.8724 0.8756 0.3758
7 Cl 0.1276 0.1244 0.6242
8 Cl 0.8839 0.6380 0.7435
9 Cl 0.8756 0.8724 0.8758
10 Cl 0.6716 0.4409 0.8846
11 Cl 0.1161 0.3620 0.2565
12 Cl 0.6923 0.1390 0.9350
13 Cl 0.4585 0.8403 0.6818
14 Cl 0.0172 0.6536 0.1626
15 Cl 0.3077 0.8610 0.0650
16 Cl 0.5415 0.1597 0.3182
17 Cl 0.7564 0.6067 0.4717
18 Cl 0.6380 0.8839 0.2435
19 Cl 0.2436 0.3933 0.5283
20 Cl 0.4409 0.6716 0.3846
21 Cl 0.3464 0.9828 0.3374
22 Cl 0.8403 0.4585 0.1818
23 Cl 0.3284 0.5591 0.1154
24 Cl 0.3620 0.1161 0.7565
25 Cl 0.5591 0.3284 0.6154
26 Cl 0.8610 0.3077 0.5650
27 Cl 0.1597 0.5415 0.8182
28 Cl 0.6067 0.7564 0.9717
29 Mo 0.0612 0.3220 0.5574
30 Mo 0.1571 0.5304 0.3151
31 Mo 0.9306 0.4814 0.3549
32 Mo 0.3220 0.0612 0.0574
33 Mo 0.0694 0.5186 0.6451
34 Mo 0.5186 0.0694 0.1451
35 Mo 0.6780 0.9388 0.9426
36 Mo 0.4814 0.9306 0.8549
37 Mo 0.5304 0.1571 0.8151
38 Mo 0.4696 0.8429 0.1849
39 Mo 0.8429 0.4696 0.6849
40 Mo 0.9388 0.6780 0.4426
41 O 0.4496 0.5504 0.7500
42 O 0.5504 0.4496 0.2500
43 N 0.0000 0.0000 0.0000
44 N 0.0000 0.0000 0.5000
45 N 0.8258 0.1742 0.2500
46 N 0.1742 0.8258 0.7500

Compound: MoCl2O
Source: the Materials Project
Functional: PBE+U
Structure: relaxed

The calculated volume comes out at 23.225 Å³/atom. The value obtained for the raw total energy is -20.478 eV for the cell shown. For the density, the calculation gives 3.27 g/cm3. As for the total magnetic moment: 2.00 μB/cell.

a b c (Å): 7.0471 7.0471 7.0471
angles (deg): 149.68 148.17 44.53
Fractional positions:
1 Mo 0.0000 0.0000 0.0000
2 Cl 0.8690 0.3690 0.5000
3 Cl 0.1310 0.6310 0.5000
4 O 0.5000 0.0000 0.5000